1.
The following is a DFT calculation (PBE) of a relaxed MgAgBiO5 crystal.

Cell lengths 5.335, 10.205, 15.482 Å; angles 90.00, 90.00, 90.00 degrees
Positions (direct):
Mg 0.561 0.368 0.567
Mg 0.061 0.132 0.567
Mg 0.061 0.632 0.933
Mg 0.939 0.368 0.067
Mg 0.439 0.132 0.067
Mg 0.939 0.868 0.433
Mg 0.439 0.632 0.433
Mg 0.561 0.868 0.933
Ag 0.050 0.384 0.424
Ag 0.450 0.884 0.576
Ag 0.950 0.616 0.576
Ag 0.550 0.116 0.424
Ag 0.950 0.116 0.924
Ag 0.050 0.884 0.076
Ag 0.450 0.384 0.924
Ag 0.550 0.616 0.076
Bi 0.999 0.858 0.755
Bi 0.001 0.142 0.245
Bi 0.501 0.358 0.245
Bi 0.001 0.642 0.255
Bi 0.499 0.142 0.745
Bi 0.499 0.642 0.755
Bi 0.501 0.858 0.255
Bi 0.999 0.358 0.745
O 0.838 0.306 0.323
O 0.266 0.980 0.985
O 0.234 0.480 0.015
O 0.315 0.797 0.833
O 0.185 0.297 0.167
O 0.838 0.806 0.177
O 0.185 0.797 0.333
O 0.662 0.806 0.677
O 0.266 0.480 0.515
O 0.162 0.694 0.677
O 0.662 0.306 0.823
O 0.851 0.270 0.503
O 0.766 0.020 0.515
O 0.685 0.703 0.333
O 0.254 0.002 0.163
O 0.766 0.520 0.985
O 0.162 0.194 0.823
O 0.815 0.203 0.667
O 0.351 0.730 0.997
O 0.234 0.980 0.485
O 0.149 0.730 0.497
O 0.746 0.998 0.837
O 0.685 0.203 0.167
O 0.754 0.998 0.337
O 0.149 0.230 0.003
O 0.351 0.230 0.503
O 0.734 0.520 0.485
O 0.734 0.020 0.015
O 0.754 0.498 0.163
O 0.649 0.770 0.497
O 0.649 0.270 0.003
O 0.851 0.770 0.997
O 0.746 0.498 0.663
O 0.815 0.703 0.833
O 0.315 0.297 0.667
O 0.254 0.502 0.337
O 0.246 0.502 0.837
O 0.338 0.194 0.323
O 0.246 0.002 0.663
O 0.338 0.694 0.177

Summary:
Crystal system: orthorhombic
E (MP2020): -5.44 eV/atom
ρ: 6.6 g cm⁻³
Energy: -320.39 eV for the cell shown
Offset from the most stable computed form: 0.088 eV/atom

=====

2.
The following is a DFT calculation (PBE) of a relaxed NbCu6O8 crystal.

Cell lengths 6.572, 6.572, 6.572 Å; angles 60.00, 60.00, 60.00 degrees
Positions (direct):
Nb 0.000 0.000 0.000
Cu 0.000 0.500 0.000
Cu 0.000 0.500 0.500
Cu 0.500 0.500 0.000
Cu 0.500 0.000 0.500
Cu 0.500 0.000 0.000
Cu 0.000 0.000 0.500
O 0.865 0.865 0.865
O 0.406 0.865 0.865
O 0.865 0.865 0.406
O 0.594 0.135 0.135
O 0.865 0.406 0.865
O 0.135 0.594 0.135
O 0.135 0.135 0.135
O 0.135 0.135 0.594

Summary:
Crystal system: cubic
E (MP2020): -6.27 eV/atom
ρ: 5.0 g cm⁻³
Energy: -88.49 eV for the cell shown

=====

3.
The following is a DFT calculation (PBE) of a relaxed Ba3CoN3 crystal.

Cell lengths 8.107, 8.110, 5.633 Å; angles 90.00, 90.00, 120.03 degrees
Positions (direct):
Ba 0.918 0.636 0.250
Ba 0.718 0.082 0.250
Ba 0.364 0.282 0.250
Ba 0.082 0.364 0.750
Ba 0.282 0.918 0.750
Ba 0.636 0.718 0.750
Co 0.667 0.333 0.750
Co 0.333 0.667 0.250
N 0.872 0.559 0.750
N 0.687 0.128 0.750
N 0.441 0.313 0.750
N 0.128 0.441 0.250
N 0.313 0.872 0.250
N 0.559 0.687 0.250

Summary:
Crystal system: hexagonal
E (MP2020): -5.97 eV/atom
ρ: 5.3 g cm⁻³
Energy: -81.38 eV for the cell shown

=====

4.
The following is a DFT calculation (PBE) of a relaxed RbTmO3 crystal.

Cell lengths 4.456, 4.456, 4.456 Å; angles 90.00, 90.00, 90.00 degrees
Positions (direct):
Rb 0.000 0.000 0.000
Tm 0.500 0.500 0.500
O 0.500 0.500 0.000
O 0.500 0.000 0.500
O 0.000 0.500 0.500

Summary:
Crystal system: cubic
E (MP2020): -6.40 eV/atom
ρ: 5.7 g cm⁻³
Energy: -29.95 eV for the cell shown

=====

5.
The following is a DFT calculation (PBE) of a relaxed DyGaSe3 crystal.

Cell lengths 3.935, 7.924, 16.255 Å; angles 90.00, 90.00, 90.00 degrees
Positions (direct):
Dy 0.250 0.762 0.456
Dy 0.250 0.262 0.044
Dy 0.750 0.238 0.544
Dy 0.750 0.738 0.956
Ga 0.250 0.249 0.820
Ga 0.250 0.749 0.680
Ga 0.750 0.751 0.180
Ga 0.750 0.251 0.320
Se 0.250 0.004 0.592
Se 0.250 0.504 0.908
Se 0.750 0.996 0.408
Se 0.750 0.496 0.092
Se 0.250 0.233 0.228
Se 0.250 0.733 0.272
Se 0.750 0.767 0.772
Se 0.750 0.267 0.728
Se 0.250 0.391 0.429
Se 0.250 0.891 0.071
Se 0.750 0.609 0.571
Se 0.750 0.109 0.929

Summary:
Crystal system: orthorhombic
E (MP2020): -4.91 eV/atom
ρ: 6.1 g cm⁻³
Energy: -92.60 eV for the cell shown

=====

6.
The following is a DFT calculation (PBE) of a relaxed Mg14ZrNi crystal.

Cell lengths 6.368, 6.136, 9.993 Å; angles 90.00, 90.00, 118.80 degrees
Positions (direct):
Mg 0.169 0.334 0.625
Mg 0.164 0.832 0.625
Mg 0.636 0.306 0.125
Mg 0.665 0.337 0.625
Mg 0.636 0.831 0.125
Mg 0.665 0.828 0.625
Mg 0.334 0.165 0.367
Mg 0.334 0.165 0.883
Mg 0.334 0.669 0.367
Mg 0.334 0.669 0.883
Mg 0.838 0.169 0.380
Mg 0.838 0.169 0.870
Mg 0.864 0.682 0.348
Mg 0.864 0.682 0.902
Zr 0.138 0.319 0.125
Ni 0.188 0.844 0.125

Summary:
Crystal system: orthorhombic
ρ: 2.4 g cm⁻³
Energy: -36.23 eV for the cell shown
Offset from the most stable computed form: 0.000 eV/atom

=====

| no. | formation energy (eV per atom) |
| --- | --- |
| 1 | -1.30 |
| 2 | -1.31 |
| 3 | -0.56 |
| 4 | -2.34 |
| 5 | -1.29 |
| 6 | 0.03 |